Computed, not measured: crystalline TlAg3Te2 at its relaxed geometry at the PBE-GGA level of DFT.

Cell lengths 8.5435, 8.5435, 4.3794 Å; angles 90.00, 90.00, 152.17 degrees
Last column: nearest neighbours and their distance in Å.
Fractional positions:
1 Tl 0.0000 0.0000 0.0000  4 Ag 3.00, 4 Te 3.33
2 Ag 0.3175 0.6825 0.0000  2 Ag 3.04, 4 Te 3.05
3 Ag 0.5000 0.5000 0.5000  4 Tl 3.00, 4 Te 3.25
4 Ag 0.6825 0.3175 0.0000  2 Ag 3.04, 4 Te 3.05
5 Te 0.1517 0.8483 0.5000  6 Ag 3.05-3.25, 2 Tl 3.33
6 Te 0.8483 0.1517 0.5000  6 Ag 3.05-3.25, 2 Tl 3.33

Output
Total moment (μB per cell): 0.00
Formation energy from the elements (eV/f.u.): -0.25
Final energy (eV per atom): -2.759


Computed, not measured: crystalline InHgW2 at its relaxed geometry at the PBE-GGA level of DFT.

Cell lengths 4.6820, 4.6820, 4.6820 Å; angles 60.00, 60.00, 60.00 degrees
Last column: nearest neighbours and their distance in Å.
Fractional positions:
1 In 0.0000 0.0000 0.0000  8 W 2.87
2 Hg 0.5000 0.5000 0.5000  8 W 2.87
3 W 0.2500 0.2500 0.2500  4 Hg 2.87, 4 In 2.87
4 W 0.7500 0.7500 0.7500  4 Hg 2.87, 4 In 2.87

Output
Total moment (μB per cell): 0.00
Formation energy from the elements (eV/f.u.): 4.38
Final energy (eV per atom): -6.148


Computed, not measured: crystalline CeSi2Pt2 at its relaxed geometry at the PBE-GGA level of DFT.

Cell lengths 4.2643, 4.2643, 9.8112 Å; angles 90.00, 90.00, 90.00 degrees
Last column: nearest neighbours and their distance in Å.
Fractional positions:
1 Ce 0.2500 0.2500 0.2462  8 Si 3.22-3.24, 9 Pt 3.26-3.60
2 Ce 0.7500 0.7500 0.7538  8 Si 3.22-3.24, 9 Pt 3.26-3.60
3 Si 0.2500 0.2500 0.6324  5 Pt 2.42-2.50
4 Si 0.2500 0.7500 0.0000  4 Pt 2.44
5 Si 0.7500 0.2500 0.0000  4 Pt 2.44
6 Si 0.7500 0.7500 0.3676  5 Pt 2.42-2.50
7 Pt 0.2500 0.2500 0.8791  5 Si 2.42-2.44
8 Pt 0.2500 0.7500 0.5000  4 Si 2.50
9 Pt 0.7500 0.2500 0.5000  4 Si 2.50
10 Pt 0.7500 0.7500 0.1209  5 Si 2.42-2.44

Output
Formation energy from the elements (eV/f.u.): -5.47
Final energy (eV per atom): -6.879


Computed, not measured: crystalline Zn2BO4 at its relaxed geometry at the PBE-GGA level of DFT.

Cell lengths 9.4642, 3.2156, 9.3420 Å; angles 90.00, 90.00, 90.00 degrees
Last column: nearest neighbours and their distance in Å.
Fractional positions:
1 Zn 0.1046 0.2500 0.1914  6 O 2.01-2.23
2 Zn 0.1206 0.2500 0.5702  6 O 2.02-2.21
3 Zn 0.3794 0.7500 0.0702  6 O 2.02-2.21
4 Zn 0.3954 0.7500 0.6914  6 O 2.01-2.23
5 Zn 0.6046 0.2500 0.3086  6 O 2.01-2.23
6 Zn 0.6206 0.2500 0.9298  6 O 2.02-2.21
7 Zn 0.8794 0.7500 0.4298  6 O 2.02-2.21
8 Zn 0.8954 0.7500 0.8086  6 O 2.01-2.23
9 B 0.1639 0.2500 0.8769  3 O 1.37-1.39
10 B 0.3361 0.7500 0.3769  3 O 1.37-1.39
11 B 0.6639 0.2500 0.6231  3 O 1.37-1.39
12 B 0.8361 0.7500 0.1231  3 O 1.37-1.39
13 O 0.0117 0.2500 0.3845  4 Zn 2.01-2.08
14 O 0.0190 0.2500 0.8708  1 B 1.37
15 O 0.2302 0.2500 0.0094  1 B 1.39
16 O 0.2427 0.2500 0.7510  1 B 1.39
17 O 0.2573 0.7500 0.2510  1 B 1.39
18 O 0.2698 0.7500 0.5094  1 B 1.39
19 O 0.4810 0.7500 0.3708  1 B 1.37
20 O 0.4883 0.7500 0.8845  4 Zn 2.01-2.08
21 O 0.5117 0.2500 0.1155  4 Zn 2.01-2.08
22 O 0.5190 0.2500 0.6292  1 B 1.37
23 O 0.7302 0.2500 0.4906  1 B 1.39
24 O 0.7427 0.2500 0.7490  1 B 1.39
25 O 0.7573 0.7500 0.2490  1 B 1.39
26 O 0.7698 0.7500 0.9906  1 B 1.39
27 O 0.9810 0.7500 0.1292  1 B 1.37
28 O 0.9883 0.7500 0.6155  4 Zn 2.01-2.08

Output
Total moment (μB per cell): 4.00
Formation energy from the elements (eV/f.u.): -13.73
Final energy (eV per atom): -5.710


Computed, not measured: crystalline TmGeRh at its relaxed geometry at the PBE-GGA level of DFT.

Cell lengths 6.8511, 4.2874, 7.5410 Å; angles 90.00, 90.00, 90.00 degrees
Last column: nearest neighbours and their distance in Å.
Fractional positions:
1 Tm 0.0037 0.2500 0.1955  5 Ge 2.98-3.00, 6 Rh 2.99-3.31
2 Tm 0.4963 0.7500 0.6955  5 Ge 2.98-3.00, 6 Rh 2.99-3.31
3 Tm 0.5037 0.2500 0.3045  5 Ge 2.98-3.00, 6 Rh 2.99-3.31
4 Tm 0.9963 0.7500 0.8045  5 Ge 2.98-3.00, 6 Rh 2.99-3.31
5 Ge 0.2139 0.7500 0.3931  4 Rh 2.54-2.62
6 Ge 0.2861 0.2500 0.8931  4 Rh 2.54-2.62
7 Ge 0.7139 0.7500 0.1069  4 Rh 2.54-2.62
8 Ge 0.7861 0.2500 0.6069  4 Rh 2.54-2.62
9 Rh 0.1570 0.2500 0.5667  4 Ge 2.54-2.62
10 Rh 0.3430 0.7500 0.0667  4 Ge 2.54-2.62
11 Rh 0.6570 0.2500 0.9333  4 Ge 2.54-2.62
12 Rh 0.8430 0.7500 0.4333  4 Ge 2.54-2.62

Output
Formation energy from the elements (eV/f.u.): -2.98
Final energy (eV per atom): -6.481


Computed, not measured: crystalline V32N3 at its relaxed geometry at the PBE-GGA level of DFT.

Cell lengths 8.6599, 2.9883, 17.3740 Å; angles 90.00, 90.66, 90.00 degrees
Last column: nearest neighbours and their distance in Å.
Fractional positions:
1 V 0.1112 0.0000 0.3166  8 V 2.53-2.65
2 V 0.1117 0.5000 0.9435  2 N 2.04
3 V 0.1135 0.0000 0.8116  8 V 2.48-2.73
4 V 0.1148 0.5000 0.4424  10 V 2.59-2.84
5 V 0.1241 0.5000 0.1940  8 V 2.51-2.72
6 V 0.1246 0.5000 0.6860  8 V 2.53-2.70
7 V 0.1299 0.0000 0.5648  8 V 2.58-2.60
8 V 0.1587 0.0000 0.0795  1 N 1.94
9 V 0.3404 0.5000 0.8272  1 N 1.94
10 V 0.3454 0.5000 0.3296  1 N 1.93
11 V 0.3691 0.0000 0.4452  8 V 2.51-2.67
12 V 0.3732 0.0000 0.9424  8 V 2.51-2.71
13 V 0.3761 0.5000 0.5613  8 V 2.51-2.71
14 V 0.3845 0.0000 0.6912  2 N 2.05
15 V 0.3848 0.5000 0.0632  8 V 2.48-2.73
16 V 0.3867 0.0000 0.1945  2 N 2.04
17 V 0.6133 0.0000 0.8055  2 N 2.04
18 V 0.6152 0.5000 0.9368  8 V 2.48-2.73
19 V 0.6155 0.0000 0.3088  2 N 2.05
20 V 0.6239 0.5000 0.4387  8 V 2.51-2.71
21 V 0.6268 0.0000 0.0576  8 V 2.51-2.71
22 V 0.6309 0.0000 0.5548  8 V 2.51-2.67
23 V 0.6546 0.5000 0.6704  1 N 1.93
24 V 0.6596 0.5000 0.1728  1 N 1.94
25 V 0.8413 0.0000 0.9205  1 N 1.94
26 V 0.8701 0.0000 0.4352  8 V 2.58-2.60
27 V 0.8754 0.5000 0.3140  8 V 2.53-2.70
28 V 0.8759 0.5000 0.8060  8 V 2.51-2.72
29 V 0.8852 0.5000 0.5576  10 V 2.59-2.84
30 V 0.8865 0.0000 0.1884  8 V 2.48-2.73
31 V 0.8883 0.5000 0.0565  2 N 2.04
32 V 0.8888 0.0000 0.6834  8 V 2.53-2.65
33 N 0.0000 0.0000 0.0000  6 V 1.94-2.04
34 N 0.4985 0.5000 0.7491  6 V 1.93-2.05
35 N 0.5015 0.5000 0.2509  6 V 1.93-2.05

Output
Formation energy from the elements (eV/f.u.): -9.74
Final energy (eV per atom): -9.267


Computed, not measured: crystalline SiBr3 at its relaxed geometry at the PBE-GGA level of DFT.

Cell lengths 6.8793, 6.8793, 7.8397 Å; angles 99.11, 99.11, 119.77 degrees
Last column: nearest neighbours and their distance in Å.
Fractional positions:
1 Si 0.0464 0.0464 0.1591  3 Br 2.22, 1 Si 2.37
2 Si 0.9536 0.9536 0.8409  3 Br 2.22, 1 Si 2.37
3 Br 0.0774 0.3827 0.2659  1 Si 2.22
4 Br 0.2350 0.2350 0.7605  1 Si 2.22
5 Br 0.3827 0.0774 0.2659  1 Si 2.22
6 Br 0.6173 0.9226 0.7341  1 Si 2.22
7 Br 0.7650 0.7650 0.2395  1 Si 2.22
8 Br 0.9226 0.6173 0.7341  1 Si 2.22

Output
Formation energy from the elements (eV/f.u.): -4.71
Final energy (eV per atom): -3.362


Computed, not measured: crystalline Tb2ZrS5 at its relaxed geometry at the PBE-GGA level of DFT.

Cell lengths 11.6352, 7.7934, 7.2841 Å; angles 90.00, 90.00, 90.00 degrees
Last column: nearest neighbours and their distance in Å.
Fractional positions:
1 Tb 0.1784 0.0020 0.0243  8 S 2.83-2.98
2 Tb 0.1784 0.4980 0.0243  8 S 2.83-2.98
3 Tb 0.3216 0.5020 0.5243  8 S 2.83-2.98
4 Tb 0.3216 0.9980 0.5243  8 S 2.83-2.98
5 Tb 0.6784 0.0020 0.4757  8 S 2.83-2.98
6 Tb 0.6784 0.4980 0.4757  8 S 2.83-2.98
7 Tb 0.8216 0.5020 0.9757  8 S 2.83-2.98
8 Tb 0.8216 0.9980 0.9757  8 S 2.83-2.98
9 Zr 0.0067 0.7500 0.5776  7 S 2.53-2.72
10 Zr 0.4933 0.2500 0.0776  7 S 2.53-2.72
11 Zr 0.5067 0.7500 0.9224  7 S 2.53-2.72
12 Zr 0.9933 0.2500 0.4224  7 S 2.53-2.72
13 S 0.0025 0.7500 0.9484  1 Zr 2.70, 4 Tb 2.86-2.89
14 S 0.0944 0.0370 0.6615  2 Zr 2.53-2.68, 1 Tb 2.83
15 S 0.0944 0.4630 0.6615  2 Zr 2.53-2.68, 1 Tb 2.83
16 S 0.1824 0.7500 0.3319  1 Zr 2.72, 4 Tb 2.88-2.98
17 S 0.2081 0.2500 0.3105  1 Zr 2.63, 4 Tb 2.83-2.86
18 S 0.2919 0.7500 0.8105  1 Zr 2.63, 4 Tb 2.83-2.86
19 S 0.3176 0.2500 0.8319  1 Zr 2.72, 4 Tb 2.88-2.98
20 S 0.4056 0.5370 0.1615  2 Zr 2.53-2.68, 1 Tb 2.83
21 S 0.4056 0.9630 0.1615  2 Zr 2.53-2.68, 1 Tb 2.83
22 S 0.4975 0.2500 0.4484  1 Zr 2.70, 4 Tb 2.86-2.89
23 S 0.5025 0.7500 0.5516  1 Zr 2.70, 4 Tb 2.86-2.89
24 S 0.5944 0.0370 0.8385  2 Zr 2.53-2.68, 1 Tb 2.83
25 S 0.5944 0.4630 0.8385  2 Zr 2.53-2.68, 1 Tb 2.83
26 S 0.6824 0.7500 0.1681  1 Zr 2.72, 4 Tb 2.88-2.98
27 S 0.7081 0.2500 0.1895  1 Zr 2.63, 4 Tb 2.83-2.86
28 S 0.7919 0.7500 0.6895  1 Zr 2.63, 4 Tb 2.83-2.86
29 S 0.8176 0.2500 0.6681  1 Zr 2.72, 4 Tb 2.88-2.98
30 S 0.9056 0.5370 0.3385  2 Zr 2.53-2.68, 1 Tb 2.83
31 S 0.9056 0.9630 0.3385  2 Zr 2.53-2.68, 1 Tb 2.83
32 S 0.9975 0.2500 0.0516  1 Zr 2.70, 4 Tb 2.86-2.89

Output
Formation energy from the elements (eV/f.u.): -17.53
Final energy (eV per atom): -6.689


Question: Which value of formation energy from the elements does entry 5 give?
Answer: -2.98 eV/f.u.


Repeat the seventh record exactly.
Computed, not measured: crystalline SiBr3 at its relaxed geometry at the PBE-GGA level of DFT.

Cell lengths 6.8793, 6.8793, 7.8397 Å; angles 99.11, 99.11, 119.77 degrees
Last column: nearest neighbours and their distance in Å.
Fractional positions:
1 Si 0.0464 0.0464 0.1591  3 Br 2.22, 1 Si 2.37
2 Si 0.9536 0.9536 0.8409  3 Br 2.22, 1 Si 2.37
3 Br 0.0774 0.3827 0.2659  1 Si 2.22
4 Br 0.2350 0.2350 0.7605  1 Si 2.22
5 Br 0.3827 0.0774 0.2659  1 Si 2.22
6 Br 0.6173 0.9226 0.7341  1 Si 2.22
7 Br 0.7650 0.7650 0.2395  1 Si 2.22
8 Br 0.9226 0.6173 0.7341  1 Si 2.22

Output
Formation energy from the elements (eV/f.u.): -4.71
Final energy (eV per atom): -3.362